The following is a PBE with a Hubbard U calculation of an optimized crystal structure of MgV8O8F8, from Materials Project.

Cell lengths 4.964, 10.445, 5.677 Å; angles 83.77, 92.96, 89.53 degrees
Fractional positions:
O 0.335 0.686 0.944
F 0.836 0.316 0.565
O 0.662 0.555 0.270
O 0.698 0.823 0.512
F 0.168 0.424 0.189
V 0.015 0.506 0.485
F 0.829 0.813 0.024
O 0.367 0.425 0.682
F 0.200 0.688 0.438
O 0.676 0.327 0.069
V 0.007 0.995 0.005
F 0.855 0.586 0.770
O 0.341 0.195 0.475
V 0.494 0.250 0.803
F 0.341 0.924 0.208
Mg 0.506 0.374 0.364
V 0.524 0.741 0.239
O 0.201 0.936 0.704
V 0.034 0.774 0.718
F 0.672 0.074 0.803
V 0.511 0.997 0.503
V 0.991 0.226 0.278
F 0.177 0.180 0.980
O 0.817 0.069 0.294
V 0.522 0.525 0.941

Computed properties:
- M_tot (μB/f.u.) = 18.00
- formation energy (kJ/mol of formula units) = -6527.4
- space group = P1
- theoretical density (g/cm³) = 4.04
- E above lowest polymorph (eV per atom) = 0.004
- crystal system = triclinic

The following is a PBE with a Hubbard U calculation of an optimized crystal structure of MgV3OF11, from Materials Project.

Cell lengths 7.333, 6.029, 5.252 Å; angles 95.58, 101.03, 94.82 degrees
Fractional positions:
V 0.625 0.841 0.403
F 0.038 0.695 0.883
F 0.560 0.320 0.855
F 0.794 0.811 0.119
F 0.439 0.694 0.152
O 0.161 0.013 0.319
Mg 0.803 0.501 0.893
F 0.451 0.895 0.664
F 0.842 0.010 0.676
F 0.282 0.429 0.509
V 0.357 0.173 0.593
F 0.534 0.144 0.357
F 0.719 0.578 0.540
V 0.015 0.991 0.023
F 0.207 0.136 0.853
F 0.925 0.283 0.090

Computed properties:
- M_tot (μB/f.u.) = 4.00
- formation energy (kJ/mol of formula units) = -4782.6
- space group = P1
- theoretical density (g/cm³) = 2.96
- E above lowest polymorph (eV per atom) = 0.000
- crystal system = triclinic

The following is a PBE with a Hubbard U calculation of an optimized crystal structure of MgV4O8F4, from Materials Project.

Cell lengths 5.151, 9.453, 5.255 Å; angles 104.27, 120.10, 72.58 degrees
Fractional positions:
Mg 0.933 0.305 0.108
F 0.047 0.141 0.371
O 0.678 0.631 0.448
F 0.529 0.379 0.134
V 0.270 0.245 0.773
O 0.358 0.884 0.192
V 0.959 0.974 0.966
O 0.241 0.139 0.969
F 0.096 0.642 0.288
O 0.269 0.382 0.498
O 0.769 0.883 0.022
F 0.947 0.873 0.612
V 0.676 0.733 0.221
O 0.517 0.631 0.883
O 0.893 0.390 0.767
O 0.682 0.140 0.822
V 0.509 0.497 0.539

Computed properties:
- M_tot (μB/f.u.) = 2.00
- formation energy (kJ/mol of formula units) = -4265.3
- space group = P1
- theoretical density (g/cm³) = 3.42
- E above lowest polymorph (eV per atom) = 0.046
- crystal system = triclinic

The following is a PBE with a Hubbard U calculation of an optimized crystal structure of MgV6O5F19, from Materials Project.

Cell lengths 5.468, 5.272, 15.469 Å; angles 89.48, 100.04, 91.90 degrees
Fractional positions:
F 0.142 0.713 0.691
Mg 0.692 0.979 0.567
F 0.717 0.084 0.449
V 0.302 0.048 0.669
V 0.538 0.454 0.995
F 0.798 0.626 0.558
O 0.541 0.272 0.643
F 0.951 0.904 0.893
F 0.213 0.427 0.444
V 0.051 0.962 0.006
F 0.652 0.796 0.689
V 0.833 0.483 0.674
F 0.359 0.098 0.783
O 0.882 0.280 0.308
F 0.889 0.412 0.787
F 0.365 0.225 0.311
F 0.806 0.705 0.029
F 0.214 0.276 0.973
F 0.951 0.770 0.351
O 0.702 0.225 0.970
V 0.129 0.476 0.329
O 0.009 0.192 0.637
V 0.652 0.992 0.327
F 0.140 0.597 0.222
F 0.027 0.106 0.108
F 0.537 0.408 0.108
F 0.452 0.615 0.894
F 0.452 0.719 0.359
F 0.602 0.917 0.214
O 0.296 0.795 0.031
F 0.322 0.905 0.558

Computed properties:
- M_tot (μB/f.u.) = 2.99
- formation energy (kJ/mol of formula units) = -8465.1
- space group = P1
- theoretical density (g/cm³) = 2.92
- E above lowest polymorph (eV per atom) = 0.046
- crystal system = triclinic

The following is a PBE with a Hubbard U calculation of an optimized crystal structure of MgV4O8F4, from Materials Project.

Cell lengths 5.103, 9.325, 5.155 Å; angles 104.37, 118.16, 77.35 degrees
Fractional positions:
F 0.007 0.879 0.616
V 0.539 0.477 0.558
Mg 0.393 0.804 0.584
O 0.748 0.884 0.983
V 0.014 0.994 0.021
O 0.681 0.636 0.436
O 0.868 0.383 0.727
O 0.286 0.375 0.549
O 0.621 0.141 0.803
O 0.372 0.886 0.245
F 0.460 0.385 0.134
O 0.199 0.132 0.951
V 0.712 0.741 0.223
F 0.036 0.129 0.391
F 0.110 0.650 0.265
O 0.506 0.636 0.833
V 0.298 0.236 0.782

Computed properties:
- M_tot (μB/f.u.) = 2.01
- formation energy (kJ/mol of formula units) = -4267.1
- space group = P1
- theoretical density (g/cm³) = 3.45
- E above lowest polymorph (eV per atom) = 0.045
- crystal system = triclinic

The following is a PBE with a Hubbard U calculation of an optimized crystal structure of MgV2O2F4, from Materials Project.

Cell lengths 5.190, 5.580, 5.208 Å; angles 85.00, 117.59, 64.40 degrees
Fractional positions:
Mg 0.415 0.901 0.725
V 0.994 0.504 0.494
F 0.168 0.722 0.769
F 0.497 0.223 0.626
V 0.007 0.992 0.006
O 0.119 0.208 0.829
O 0.868 0.746 0.119
F 0.509 0.745 0.417
F 0.935 0.208 0.278

Computed properties:
- M_tot (μB/f.u.) = 4.00
- formation energy (kJ/mol of formula units) = -2591.0
- space group = P1
- theoretical density (g/cm³) = 3.46
- E above lowest polymorph (eV per atom) = 0.000
- crystal system = triclinic

The following is a PBE with a Hubbard U calculation of an optimized crystal structure of MgV4O5F7, from Materials Project.

Cell lengths 5.149, 5.604, 9.105 Å; angles 73.43, 90.98, 60.26 degrees
Fractional positions:
V 0.288 0.496 0.750
Mg 0.308 0.401 0.097
F 0.020 0.261 0.122
F 0.935 0.726 0.171
O 0.100 0.230 0.417
O 0.546 0.732 0.382
O 0.420 0.725 0.674
V 0.000 0.027 0.988
V 0.468 0.986 0.508
F 0.031 0.727 0.883
O 0.416 0.714 0.086
F 0.068 0.271 0.814
O 0.558 0.250 0.942
F 0.914 0.752 0.576
F 0.578 0.235 0.311
V 0.711 0.534 0.266
F 0.486 0.222 0.634

Computed properties:
- M_tot (μB/f.u.) = 5.01
- formation energy (kJ/mol of formula units) = -4709.0
- space group = P1
- theoretical density (g/cm³) = 3.41
- E above lowest polymorph (eV per atom) = 0.013
- crystal system = triclinic

The following is a PBE with a Hubbard U calculation of an optimized crystal structure of MgV2O2F6, from Materials Project.

Cell lengths 5.434, 5.386, 6.153 Å; angles 88.46, 117.71, 92.32 degrees
Fractional positions:
F 0.791 0.726 0.060
F 0.375 0.532 0.649
Mg 0.532 0.253 0.557
F 0.712 0.233 0.947
F 0.653 0.434 0.348
V 0.037 0.970 0.003
F 0.195 0.070 0.341
O 0.215 0.270 0.947
F 0.781 0.972 0.655
O 0.269 0.768 0.010
V 0.473 0.484 0.993

Computed properties:
- M_tot (μB/f.u.) = 2.00
- formation energy (kJ/mol of formula units) = -3264.6
- space group = P1
- theoretical density (g/cm³) = 2.84
- E above lowest polymorph (eV per atom) = 0.010
- crystal system = triclinic

The following is a PBE with a Hubbard U calculation of an optimized crystal structure of MgV4O8F4, from Materials Project.

Cell lengths 5.166, 9.291, 5.067 Å; angles 103.07, 117.59, 77.03 degrees
Fractional positions:
F 0.046 0.136 0.369
O 0.724 0.624 0.492
Mg 0.129 0.557 0.846
O 0.809 0.881 0.040
O 0.637 0.134 0.775
F 0.990 0.869 0.620
O 0.215 0.128 0.935
O 0.852 0.392 0.744
F 0.098 0.629 0.230
F 0.434 0.387 0.117
V 0.001 0.992 0.994
V 0.311 0.225 0.753
O 0.268 0.391 0.561
O 0.391 0.882 0.219
V 0.536 0.500 0.572
O 0.486 0.629 0.875
V 0.700 0.762 0.245

Computed properties:
- M_tot (μB/f.u.) = 2.00
- formation energy (kJ/mol of formula units) = -4286.4
- space group = P1
- theoretical density (g/cm³) = 3.45
- E above lowest polymorph (eV per atom) = 0.033
- crystal system = triclinic

The following is a PBE with a Hubbard U calculation of an optimized crystal structure of MgV8O8F8, from Materials Project.

Cell lengths 4.922, 10.650, 5.703 Å; angles 83.96, 94.33, 88.00 degrees
Fractional positions:
F 0.682 0.076 0.763
F 0.809 0.818 0.015
F 0.203 0.433 0.194
V 0.476 0.990 0.500
O 0.719 0.571 0.262
O 0.196 0.924 0.721
V 0.028 0.512 0.461
O 0.698 0.327 0.058
O 0.281 0.164 0.468
F 0.212 0.679 0.451
V 0.482 0.252 0.744
O 0.305 0.435 0.715
F 0.835 0.331 0.564
V 0.918 0.203 0.316
F 0.160 0.187 0.956
F 0.839 0.556 0.770
O 0.764 0.053 0.280
O 0.694 0.813 0.515
F 0.298 0.911 0.222
V 0.991 0.998 0.996
V 0.512 0.507 0.992
V 0.529 0.743 0.236
V 0.033 0.768 0.729
Mg 0.016 0.369 0.903
O 0.320 0.673 0.966

Computed properties:
- M_tot (μB/f.u.) = 18.00
- formation energy (kJ/mol of formula units) = -6480.7
- space group = P1
- theoretical density (g/cm³) = 3.99
- E above lowest polymorph (eV per atom) = 0.023
- crystal system = triclinic

The following is a PBE with a Hubbard U calculation of an optimized crystal structure of MgV4O6F6, from Materials Project.

Cell lengths 5.118, 9.397, 5.162 Å; angles 104.45, 117.56, 77.12 degrees
Fractional positions:
F 0.993 0.132 0.388
O 0.585 0.118 0.779
O 0.313 0.370 0.534
V 0.513 0.486 0.518
Mg 0.418 0.811 0.618
F 0.362 0.887 0.260
O 0.690 0.648 0.450
O 0.764 0.878 0.014
V 0.281 0.240 0.762
F 0.495 0.377 0.122
F 0.020 0.878 0.627
O 0.513 0.639 0.845
V 0.743 0.733 0.214
F 0.906 0.389 0.732
V 0.982 0.016 0.010
O 0.168 0.136 0.969
F 0.141 0.633 0.282

Computed properties:
- M_tot (μB/f.u.) = 4.00
- formation energy (kJ/mol of formula units) = -4554.0
- space group = P1
- theoretical density (g/cm³) = 3.44
- E above lowest polymorph (eV per atom) = 0.032
- crystal system = triclinic

The following is a PBE with a Hubbard U calculation of an optimized crystal structure of MgV3OF11, from Materials Project.

Cell lengths 7.337, 6.095, 5.210 Å; angles 95.53, 101.34, 95.41 degrees
Fractional positions:
Mg 0.189 0.491 0.098
F 0.846 0.988 0.670
F 0.713 0.577 0.493
F 0.784 0.860 0.139
F 0.558 0.312 0.851
F 0.280 0.419 0.457
V 0.011 0.999 0.039
F 0.955 0.296 0.107
F 0.206 0.186 0.882
F 0.431 0.685 0.148
F 0.553 0.108 0.344
F 0.471 0.862 0.654
V 0.373 0.158 0.599
V 0.638 0.828 0.407
F 0.062 0.705 0.900
O 0.165 0.990 0.327

Computed properties:
- M_tot (μB/f.u.) = 4.00
- formation energy (kJ/mol of formula units) = -4770.5
- space group = P1
- theoretical density (g/cm³) = 2.96
- E above lowest polymorph (eV per atom) = 0.008
- crystal system = triclinic